Record 1
VASP calculation (GGA+U) on a relaxed MgCo6O8F4 crystal.

Structure (POSCAR):
```
MgCo6O8F4
1.0
5.6105 0.0000 0.0000
-2.3854 5.3002 0.0000
-1.1536 -2.7747 6.9955
Mg Co O F
1 6 8 4
Direct
0.0000 0.0000 0.0000
0.0180 0.0524 0.4979
0.0507 0.4714 0.9303
0.3431 0.5523 0.3210
0.3660 0.0572 0.8142
0.6355 0.0794 0.1754
0.6835 0.5256 0.6341
0.0524 0.7308 0.8071
0.1194 0.2001 0.7827
0.3117 0.3499 0.4831
0.3703 0.7426 0.1553
0.4192 0.2060 0.0772
0.6682 0.3519 0.8112
0.7084 0.7379 0.4805
0.9839 0.3352 0.1488
0.2645 0.8834 0.5380
0.5995 0.8806 0.8632
0.7764 0.2393 0.4553
0.9029 0.8831 0.2062
```

Computed properties:
The value obtained for the total magnetization is 0.84 μB/atom. The value obtained for the polymorph energy (0 for the lowest one) is 0.015 eV per atom. Its energy of formation from the pure elements is -1.59 eV per atom.

Record 2
VASP calculation (GGA+U) on a relaxed MgV4O7F5 crystal.

Structure (POSCAR):
```
MgV4O7F5
1.0
5.1491 0.0000 0.0000
2.4507 4.7392 0.0000
2.3151 1.8042 8.4155
Mg V O F
1 4 7 5
Direct
0.0000 0.0000 0.0000
0.2574 0.0215 0.5911
0.4573 0.2614 0.8436
0.6501 0.5613 0.1000
0.9817 0.7557 0.3680
0.1264 0.9122 0.4433
0.1836 0.3623 0.4811
0.2504 0.6963 0.1674
0.2616 0.0769 0.7903
0.6117 0.4002 0.9395
0.6197 0.8353 0.5343
0.6999 0.8663 0.9782
0.1095 0.3098 0.0293
0.2173 0.6412 0.7323
0.7438 0.1279 0.2196
0.7529 0.5989 0.2869
0.7698 0.1790 0.6734
```

Computed properties:
The value obtained for the total magnetization is 0.18 μB/atom. The value obtained for the polymorph energy (0 for the lowest one) is 0.002 eV per atom. Its energy of formation from the pure elements is -2.72 eV per atom.

Record 3
VASP calculation (GGA+U) on a relaxed KCoO2 crystal.

Structure (POSCAR):
```
KCoO2
1.0
0.9478 3.1000 0.0000
-7.6757 2.3465 -6.6344
-4.4209 1.3515 6.2604
K Co O
4 4 8
Direct
0.5000 0.3224 0.0231
0.0000 0.8224 0.5231
0.5000 0.6776 0.9769
0.0000 0.1776 0.4769
0.0000 0.9676 0.1554
0.5000 0.5324 0.3446
0.5000 0.4676 0.6554
0.0000 0.0324 0.8446
0.5000 0.3716 0.4431
0.0000 0.8716 0.9431
0.5000 0.6284 0.5569
0.0000 0.1284 0.0569
0.5000 0.0542 0.7237
0.0000 0.5542 0.2237
0.5000 0.9458 0.2763
0.0000 0.4458 0.7763
```

Computed properties:
The value obtained for the total magnetization is 0.00 μB/atom. Its energy of formation from the pure elements is -1.41 eV per atom.

Record 4
VASP calculation (GGA+U) on a relaxed Li3Mn4B4O12 crystal.

Structure (POSCAR):
```
Li3Mn4B4O12
1.0
7.8697 0.0000 0.0000
0.9088 7.9023 0.0000
3.0384 2.8557 8.1075
Li Mn B O
6 8 8 24
Direct
0.0783 0.2401 0.2215
0.1760 0.5156 0.2724
0.3391 0.9966 0.7313
0.6609 0.0034 0.2687
0.8240 0.4844 0.7276
0.9217 0.7599 0.7785
0.0303 0.2128 0.5820
0.2214 0.5299 0.9143
0.2867 0.9684 0.0781
0.4663 0.2894 0.4328
0.5337 0.7106 0.5672
0.7133 0.0316 0.9219
0.7786 0.4701 0.0857
0.9697 0.7872 0.4180
0.0321 0.2083 0.9130
0.2078 0.5418 0.5877
0.2941 0.9770 0.4071
0.4499 0.2755 0.1097
0.5501 0.7245 0.8903
0.7059 0.0230 0.5929
0.7922 0.4582 0.4123
0.9679 0.7917 0.0870
0.0112 0.3085 0.0170
0.0530 0.6412 0.6230
0.0902 0.7602 0.1794
0.1698 0.0015 0.3211
0.1718 0.0909 0.8894
0.2332 0.4453 0.4808
0.2752 0.0796 0.5111
0.3065 0.3920 0.1215
0.3340 0.5281 0.6684
0.4314 0.7423 0.8004
0.4342 0.8603 0.3851
0.4780 0.1636 0.0162
0.5220 0.8364 0.9838
0.5658 0.1397 0.6149
0.5686 0.2577 0.1996
0.6660 0.4719 0.3316
0.6935 0.6080 0.8785
0.7248 0.9204 0.4889
0.7668 0.5547 0.5192
0.8282 0.9091 0.1106
0.8302 0.9985 0.6789
0.9098 0.2398 0.8206
0.9470 0.3588 0.3770
0.9888 0.6915 0.9830
```

Computed properties:
The value obtained for the total magnetization is 0.83 μB/atom. The value obtained for the polymorph energy (0 for the lowest one) is 0.011 eV per atom. Its energy of formation from the pure elements is -2.46 eV per atom.

no.,electronic total energy (eV per cell)
1,-104.52
2,-114.49
3,-82.92
4,-340.35